Density functional theory data (PBE-GGA) for an optimized crystal structure of YMgCu.

calculated density: 4.6 g/cm³
polymorph energy (0 for the lowest one): 0 meV/atom
crystal system: hexagonal
energy relative to the elements: -20.7 kJ/mol of atoms

abc: 7.501 7.501 3.960
angles: 90.00 90.00 120.00
Fractional positions:
Y  0.000  0.586  0.000
Mg  0.757  0.757  0.500
Y  0.586  0.000  0.000
Cu  0.000  0.000  0.000
Cu  0.667  0.333  0.500
Mg  0.000  0.243  0.500
Cu  0.333  0.667  0.500
Y  0.414  0.414  0.000
Mg  0.243  0.000  0.500

Density functional theory data (PBE-GGA) for an optimized crystal structure of Y2MgCu2.

calculated density: 5.0 g/cm³
crystal system: tetragonal
energy relative to the elements: -23.0 kJ/mol of atoms

abc: 7.685 7.685 3.676
angles: 90.00 90.00 90.00
Fractional positions:
Y  0.829  0.329  0.500
Mg  0.000  0.000  0.000
Cu  0.622  0.122  0.000
Mg  0.500  0.500  0.000
Y  0.671  0.829  0.500
Cu  0.122  0.378  0.000
Y  0.329  0.171  0.500
Cu  0.878  0.622  0.000
Y  0.171  0.671  0.500
Cu  0.378  0.878  0.000

Density functional theory data (PBE-GGA) for an optimized crystal structure of Y5Mg13Cu5.

calculated density: 3.5 g/cm³
crystal system: orthorhombic
magnetization: 0.00 μB per cell
energy relative to the elements: -16.1 kJ/mol of atoms

abc: 9.748 9.748 25.548
angles: 90.00 90.00 155.39
Fractional positions:
Cu  0.400  0.600  0.750
Mg  0.947  0.053  0.689
Mg  0.233  0.767  0.046
Mg  0.850  0.150  0.071
Y  0.484  0.516  0.106
Mg  0.233  0.767  0.454
Cu  0.093  0.907  0.671
Mg  0.806  0.194  0.250
Y  0.325  0.675  0.644
Mg  0.767  0.233  0.546
Mg  0.000  0.000  0.000
Cu  0.904  0.096  0.915
Mg  0.807  0.193  0.750
Y  0.516  0.484  0.606
Y  0.516  0.484  0.894
Mg  0.383  0.617  0.517
Y  0.556  0.444  0.750
Mg  0.000  0.000  0.500
Mg  0.617  0.383  0.483
Cu  0.907  0.093  0.171
Cu  0.096  0.904  0.085
Cu  0.096  0.904  0.415
Mg  0.150  0.850  0.929
Cu  0.600  0.400  0.250
Y  0.675  0.325  0.356
Y  0.444  0.556  0.250
Mg  0.685  0.315  0.842
Cu  0.904  0.096  0.585
Mg  0.150  0.850  0.571
Cu  0.093  0.907  0.829
Mg  0.947  0.053  0.811
Mg  0.315  0.685  0.342
Mg  0.053  0.947  0.311
Y  0.675  0.325  0.144
Mg  0.053  0.947  0.189
Mg  0.193  0.807  0.250
Mg  0.383  0.617  0.983
Y  0.484  0.516  0.394
Mg  0.685  0.315  0.658
Mg  0.194  0.806  0.750
Y  0.325  0.675  0.856
Mg  0.850  0.150  0.429
Mg  0.767  0.233  0.954
Cu  0.907  0.093  0.329
Mg  0.315  0.685  0.158
Mg  0.617  0.383  0.017

Density functional theory data (PBE-GGA) for an optimized crystal structure of Mg6ZnCu.

calculated density: 2.9 g/cm³
magnetization: 0.00 μB per cell
energy relative to the elements: 1.7 kJ/mol of atoms

abc: 4.944 5.999 10.551
angles: 90.00 90.00 90.00
Fractional positions:
Mg  0.500  0.000  0.167
Mg  0.500  0.245  0.913
Cu  0.500  0.500  0.166
Mg  0.000  0.500  0.832
Mg  0.000  0.741  0.089
Mg  0.000  0.259  0.089
Mg  0.500  0.255  0.413
Zn  0.000  0.500  0.332
Mg  0.500  0.500  0.667
Mg  0.000  0.000  0.332
Cu  0.500  0.000  0.666
Mg  0.500  0.755  0.913
Mg  0.000  0.241  0.589
Zn  0.000  0.000  0.832
Mg  0.000  0.759  0.589
Mg  0.500  0.745  0.413

Density functional theory data (PBE-GGA) for an optimized crystal structure of MgZnCu.

calculated density: 5.5 g/cm³
crystal system: orthorhombic
energy relative to the elements: -19.1 kJ/mol of atoms

abc: 5.083 5.083 5.083
angles: 120.06 119.52 90.36
Fractional positions:
Mg  0.876  0.126  0.750
Zn  0.500  0.500  0.500
Zn  0.500  0.000  0.000
Cu  0.500  0.500  0.000
Cu  0.000  0.500  0.500
Mg  0.124  0.874  0.250

Density functional theory data (PBE-GGA) for an optimized crystal structure of Mg6ZnCu.

calculated density: 2.9 g/cm³
magnetization: 0.00 μB per cell
energy relative to the elements: 1.5 kJ/mol of atoms

abc: 4.838 6.257 10.344
angles: 90.00 90.00 90.00
Fractional positions:
Cu  0.500  0.000  0.333
Zn  0.500  0.000  0.833
Mg  0.500  0.750  0.585
Mg  0.000  0.254  0.912
Mg  0.000  0.500  0.672
Mg  0.000  0.000  0.172
Mg  0.000  0.246  0.412
Mg  0.000  0.746  0.912
Zn  0.500  0.500  0.333
Mg  0.500  0.750  0.085
Mg  0.000  0.000  0.669
Mg  0.000  0.500  0.169
Mg  0.500  0.250  0.585
Mg  0.500  0.250  0.085
Mg  0.000  0.754  0.412
Cu  0.500  0.500  0.833

Density functional theory data (PBE-GGA) for an optimized crystal structure of Mg6ZrCu.

calculated density: 3.0 g/cm³
polymorph energy (0 for the lowest one): 10 meV/atom
magnetization: 0.00 μB per cell
energy relative to the elements: 7.5 kJ/mol of atoms

abc: 4.883 5.953 11.526
angles: 90.00 90.00 90.00
Fractional positions:
Zr  0.500  0.500  0.684
Cu  0.500  0.500  0.149
Mg  0.000  0.248  0.081
Mg  0.000  0.252  0.581
Cu  0.500  0.000  0.649
Mg  0.000  0.748  0.581
Zr  0.500  0.000  0.184
Mg  0.000  0.752  0.081
Mg  0.000  0.500  0.305
Mg  0.500  0.749  0.933
Mg  0.500  0.249  0.433
Mg  0.500  0.251  0.933
Mg  0.000  0.000  0.805
Mg  0.000  0.000  0.335
Mg  0.000  0.500  0.835
Mg  0.500  0.751  0.433

Density functional theory data (PBE-GGA) for an optimized crystal structure of Mg6ZrCu.

calculated density: 3.0 g/cm³
polymorph energy (0 for the lowest one): 0 meV/atom
magnetization: 0.01 μB per cell
energy relative to the elements: 6.6 kJ/mol of atoms

abc: 4.903 6.087 11.191
angles: 90.00 90.00 90.00
Fractional positions:
Mg  0.000  0.746  0.075
Mg  0.500  0.756  0.921
Mg  0.000  0.254  0.075
Mg  0.500  0.000  0.176
Mg  0.000  0.754  0.575
Mg  0.500  0.500  0.676
Cu  0.500  0.000  0.685
Mg  0.000  0.000  0.333
Mg  0.500  0.256  0.421
Zr  0.000  0.000  0.814
Cu  0.500  0.500  0.185
Mg  0.000  0.500  0.833
Mg  0.500  0.744  0.421
Mg  0.500  0.244  0.921
Zr  0.000  0.500  0.314
Mg  0.000  0.246  0.575